Entry 1:
This record from the Materials Project database describes an optimized crystal structure of Hf2Zr9Ta6Ti5Nb5B54. The functional is GGA-PBE.

Output
- crystal system = triclinic
- symmetry = P1

Cell: 9.358 9.355 10.209 Å, 90.01 89.99 119.99°
Fractional coordinates of all 81 atoms:
B  0.553  0.997  0.172
Ta  0.663  0.554  0.002
B  0.443  0.776  0.492
B  0.114  0.114  0.173
B  0.114  0.445  0.494
Zr  0.334  0.225  0.664
B  0.113  0.111  0.493
Zr  0.666  0.224  0.002
B  0.224  0.002  0.175
B  0.445  0.445  0.494
B  0.892  0.334  0.169
B  0.223  0.001  0.834
B  0.777  0.446  0.169
B  0.775  0.445  0.830
Nb  0.333  0.227  0.002
B  0.777  0.111  0.498
B  0.780  0.111  0.169
B  0.224  0.336  0.834
B  0.223  0.665  0.834
B  0.888  0.333  0.498
Ta  0.002  0.223  0.334
Hf  0.666  0.886  0.002
Zr  0.667  0.887  0.664
B  0.554  0.663  0.497
B  0.889  0.000  0.835
Ta  0.004  0.224  0.002
B  0.224  0.334  0.174
Ti  0.332  0.887  0.334
Zr  0.667  0.223  0.333
B  0.776  0.776  0.170
B  0.775  0.445  0.501
B  0.888  0.666  0.170
B  0.447  0.446  0.831
B  0.444  0.775  0.833
Zr  0.999  0.556  0.664
B  0.557  0.002  0.832
B  0.885  0.665  0.833
B  0.778  0.112  0.833
Ti  0.333  0.224  0.335
Ta  0.666  0.557  0.334
B  0.223  0.000  0.491
Ti  0.666  0.556  0.663
B  0.890  0.001  0.170
B  0.557  0.336  0.830
Ti  0.334  0.554  0.334
B  0.224  0.666  0.174
Ti  0.667  0.224  0.664
Zr  0.000  0.890  0.003
B  0.112  0.112  0.834
Nb  0.334  0.552  0.006
B  0.446  0.114  0.832
B  0.113  0.445  0.834
Hf  0.001  0.555  0.002
B  0.776  0.774  0.832
Ta  0.335  0.555  0.660
B  0.777  0.775  0.498
B  0.110  0.777  0.833
B  0.890  0.999  0.495
B  0.888  0.333  0.833
B  0.555  0.335  0.499
B  0.887  0.666  0.498
Zr  0.333  0.889  0.664
B  0.443  0.776  0.174
B  0.114  0.445  0.172
Nb  0.998  0.887  0.664
B  0.112  0.779  0.493
B  0.555  0.664  0.832
B  0.443  0.444  0.174
B  0.224  0.667  0.492
B  0.552  0.334  0.171
B  0.225  0.335  0.492
B  0.444  0.111  0.494
Zr  0.001  0.223  0.664
B  0.553  0.664  0.172
Zr  0.333  0.888  0.002
B  0.554  0.000  0.496
B  0.112  0.778  0.173
Nb  0.001  0.556  0.334
Nb  0.667  0.886  0.334
B  0.441  0.111  0.174
Ta  0.999  0.889  0.332



Entry 2:
This record from the Materials Project database describes an optimized crystal structure of Hf7Zr6Ta4Ti3Nb7B54. The functional is GGA-PBE.

Output
- crystal system = triclinic
- symmetry = P1

Cell: 9.374 9.374 10.244 Å, 90.01 90.00 119.98°
Fractional coordinates of all 81 atoms:
B  0.554  0.777  0.666
B  0.442  0.222  0.332
B  0.223  0.443  0.001
Hf  0.668  0.999  0.834
B  0.556  0.111  0.999
B  0.891  0.448  0.331
B  0.222  0.777  0.667
B  0.110  0.888  0.335
Hf  0.666  0.666  0.166
B  0.889  0.110  0.334
Zr  0.002  0.000  0.167
Nb  0.333  0.663  0.836
B  0.113  0.557  0.668
Hf  0.001  0.334  0.167
B  0.778  0.888  0.999
Ta  0.666  0.999  0.165
Ti  0.001  0.667  0.165
B  0.891  0.110  0.666
Zr  0.333  0.666  0.167
B  0.778  0.556  0.669
B  0.778  0.222  0.670
B  0.224  0.444  0.332
B  0.220  0.112  0.664
B  0.779  0.556  0.000
Nb  0.664  0.664  0.832
B  0.220  0.777  0.333
Nb  0.004  0.334  0.833
B  0.554  0.444  0.000
B  0.443  0.223  0.667
B  0.891  0.778  0.334
B  0.112  0.221  0.666
B  0.553  0.444  0.332
B  0.443  0.553  0.001
Zr  0.332  0.001  0.834
B  0.889  0.444  0.670
Ti  0.333  0.333  0.166
B  0.556  0.777  0.999
Nb  0.333  0.336  0.833
Zr  0.667  0.334  0.500
B  0.779  0.889  0.335
B  0.778  0.223  0.998
B  0.890  0.780  0.666
Zr  0.003  0.334  0.500
B  0.443  0.554  0.333
Nb  0.001  0.002  0.835
B  0.443  0.555  0.666
B  0.556  0.778  0.334
B  0.224  0.445  0.667
B  0.554  0.109  0.333
Hf  0.667  0.999  0.501
B  0.110  0.890  0.665
Ti  0.001  0.000  0.498
B  0.780  0.889  0.666
Hf  0.000  0.667  0.833
B  0.554  0.444  0.668
B  0.222  0.112  0.335
B  0.443  0.887  0.667
B  0.778  0.221  0.332
B  0.889  0.777  0.999
B  0.889  0.112  0.999
Hf  0.667  0.667  0.501
B  0.444  0.889  0.334
Ta  0.666  0.335  0.835
B  0.224  0.114  0.001
B  0.110  0.887  0.001
B  0.890  0.445  0.999
B  0.110  0.557  0.332
Nb  0.001  0.668  0.502
Ta  0.332  0.665  0.497
B  0.110  0.556  0.001
Hf  0.331  0.999  0.500
B  0.556  0.111  0.668
B  0.443  0.224  0.001
Zr  0.666  0.333  0.166
B  0.445  0.889  0.000
B  0.114  0.224  0.001
Ta  0.332  0.334  0.501
B  0.220  0.777  0.001
Nb  0.332  0.000  0.167
B  0.113  0.222  0.334
B  0.780  0.558  0.332



Entry 3:
This record from the Materials Project database describes an optimized crystal structure of Hf6Zr8Ta3Ti2Nb8B54. The functional is GGA-PBE.

Output
- crystal system = triclinic
- symmetry = P1

Cell: 9.388 9.389 10.291 Å, 89.99 89.99 119.94°
Fractional coordinates of all 81 atoms:
Ti  0.999  0.777  0.500
B  0.220  0.888  0.664
B  0.888  0.556  0.667
B  0.221  0.555  0.667
Hf  0.667  0.776  0.832
B  0.110  0.998  0.338
B  0.220  0.555  0.999
B  0.110  0.998  0.663
B  0.779  0.667  0.336
B  0.109  0.333  0.336
B  0.447  0.334  0.670
Hf  0.334  0.111  0.501
Zr  0.333  0.446  0.166
B  0.777  0.332  0.334
B  0.111  0.999  0.998
Nb  0.333  0.777  0.166
Nb  0.334  0.444  0.833
B  0.777  0.000  0.335
Hf  0.669  0.778  0.500
B  0.557  0.225  0.997
B  0.777  0.336  0.669
Zr  0.667  0.113  0.833
B  0.444  0.001  0.666
B  0.779  0.665  0.667
Nb  0.668  0.113  0.502
B  0.776  0.999  0.000
Ta  0.999  0.111  0.501
B  0.887  0.222  0.335
Zr  0.334  0.444  0.501
B  0.222  0.888  0.998
B  0.110  0.334  0.667
B  0.777  0.665  0.998
B  0.556  0.889  0.666
B  0.222  0.221  0.666
B  0.888  0.554  0.996
B  0.889  0.888  0.337
Hf  0.669  0.444  0.166
Hf  0.997  0.444  0.501
B  0.558  0.222  0.335
Nb  0.000  0.775  0.833
B  0.446  0.669  0.333
Nb  0.669  0.444  0.502
B  0.221  0.556  0.334
B  0.556  0.888  0.001
B  0.557  0.555  0.998
B  0.110  0.667  0.337
Ta  0.666  0.779  0.168
B  0.224  0.223  0.998
B  0.889  0.223  0.666
B  0.778  0.000  0.666
B  0.445  0.666  0.667
B  0.778  0.335  0.997
Zr  0.001  0.112  0.832
Zr  0.331  0.777  0.833
Ta  0.998  0.445  0.830
B  0.557  0.225  0.668
B  0.109  0.664  0.999
Nb  0.334  0.113  0.831
Hf  0.333  0.779  0.501
B  0.221  0.221  0.336
Nb  0.998  0.444  0.169
Zr  0.335  0.110  0.167
B  0.889  0.556  0.337
B  0.558  0.557  0.333
B  0.446  0.000  0.334
B  0.889  0.225  0.999
B  0.887  0.887  0.999
Zr  0.998  0.111  0.166
B  0.221  0.888  0.337
B  0.447  0.335  0.996
B  0.557  0.890  0.333
B  0.446  0.333  0.334
Nb  0.667  0.112  0.164
Zr  0.000  0.776  0.167
Ti  0.668  0.444  0.833
B  0.108  0.667  0.664
B  0.445  0.667  0.000
B  0.110  0.335  0.998
B  0.445  0.000  0.000
B  0.890  0.887  0.664
B  0.558  0.555  0.669



Entry 4:
This record from the Materials Project database describes an optimized crystal structure of Hf6Zr8Ta5Ti5Nb3B54. The functional is GGA-PBE.

Output
- crystal system = triclinic
- symmetry = P1

Cell: 9.369 9.374 10.228 Å, 90.00 90.00 120.02°
Fractional coordinates of all 81 atoms:
Hf  0.000  0.335  0.503
Ti  0.001  0.666  0.833
Ti  0.334  0.000  0.832
Hf  0.336  0.001  0.165
B  0.447  0.890  0.333
B  0.223  0.780  0.992
B  0.558  0.112  0.331
Ti  0.334  0.334  0.833
Ta  0.000  0.335  0.832
B  0.557  0.444  0.334
B  0.888  0.112  0.671
B  0.556  0.109  0.996
B  0.890  0.446  0.670
B  0.111  0.557  0.670
B  0.776  0.222  0.333
B  0.889  0.445  0.995
B  0.444  0.556  0.335
Zr  0.335  0.334  0.165
B  0.775  0.890  0.997
B  0.111  0.556  0.993
B  0.887  0.443  0.336
Ta  0.667  0.334  0.503
B  0.555  0.443  0.996
B  0.447  0.223  0.334
B  0.886  0.111  0.333
B  0.224  0.112  0.334
B  0.889  0.777  0.995
B  0.885  0.110  0.996
B  0.777  0.553  0.334
B  0.555  0.110  0.672
Hf  0.666  0.666  0.833
B  0.112  0.887  0.673
B  0.225  0.113  0.673
B  0.223  0.445  0.337
B  0.557  0.781  0.997
Ti  0.666  0.000  0.164
B  0.444  0.222  0.672
B  0.775  0.219  0.997
B  0.775  0.889  0.332
Zr  0.334  0.000  0.503
B  0.553  0.442  0.670
B  0.888  0.776  0.334
B  0.225  0.111  0.993
Zr  0.998  0.333  0.165
B  0.780  0.555  0.670
Nb  0.666  0.666  0.165
B  0.776  0.890  0.671
Zr  0.665  0.665  0.502
B  0.447  0.892  0.995
Nb  0.335  0.335  0.502
B  0.778  0.555  0.996
B  0.891  0.776  0.671
B  0.444  0.221  0.994
B  0.777  0.222  0.670
B  0.221  0.778  0.672
B  0.113  0.889  0.993
B  0.111  0.888  0.335
B  0.442  0.554  0.670
B  0.113  0.224  0.671
Ta  0.667  0.333  0.164
Hf  0.665  0.000  0.502
B  0.445  0.555  0.995
B  0.444  0.889  0.672
Zr  0.999  0.999  0.165
Zr  0.999  0.666  0.165
B  0.112  0.223  0.335
B  0.223  0.777  0.336
Ti  0.665  0.000  0.834
B  0.112  0.556  0.337
Zr  0.335  0.668  0.164
Nb  0.333  0.667  0.833
B  0.556  0.779  0.332
B  0.554  0.779  0.670
Hf  0.666  0.332  0.833
Zr  0.001  0.000  0.502
B  0.112  0.223  0.993
B  0.223  0.444  0.993
B  0.223  0.445  0.670
Ta  0.333  0.666  0.504
Ta  0.000  0.665  0.502
Hf  0.000  0.000  0.833



Entry 5:
This record from the Materials Project database describes an optimized crystal structure of Hf2Zr8Ta8Ti4Nb5B54. The functional is GGA-PBE.

Output
- crystal system = triclinic
- symmetry = P1

Cell: 9.358 9.357 10.200 Å, 89.97 90.00 120.04°
Fractional coordinates of all 81 atoms:
B  0.668  0.224  0.169
B  0.667  0.555  0.495
B  0.779  0.114  0.497
B  0.002  0.888  0.500
Ti  0.221  0.997  0.665
B  0.001  0.224  0.495
Zr  0.552  0.998  0.666
B  0.332  0.888  0.166
B  0.776  0.775  0.168
B  0.112  0.778  0.501
B  0.334  0.557  0.833
B  0.330  0.888  0.502
Nb  0.892  0.668  0.666
B  0.113  0.447  0.835
B  0.445  0.113  0.169
Zr  0.224  0.335  0.666
B  0.777  0.443  0.172
Ta  0.551  0.997  0.002
Zr  0.890  0.000  0.001
Zr  0.891  0.667  0.001
B  0.113  0.110  0.834
B  0.001  0.224  0.836
B  0.113  0.110  0.499
B  0.778  0.115  0.167
Ta  0.551  0.666  0.001
B  0.442  0.775  0.502
Ta  0.225  0.337  0.333
B  0.779  0.445  0.836
Ti  0.222  0.668  0.665
B  0.000  0.553  0.170
B  0.001  0.226  0.168
B  0.668  0.225  0.493
B  0.111  0.444  0.169
B  0.442  0.776  0.833
B  0.664  0.887  0.165
B  0.777  0.111  0.837
B  0.331  0.887  0.832
Zr  0.890  0.999  0.332
B  0.332  0.220  0.835
B  0.667  0.221  0.838
Hf  0.554  0.333  0.002
B  0.334  0.224  0.170
B  0.004  0.558  0.833
B  0.442  0.109  0.835
B  0.111  0.446  0.497
Zr  0.553  0.998  0.333
Nb  0.223  0.998  0.002
Ta  0.891  0.666  0.332
B  0.445  0.444  0.495
Zr  0.891  0.337  0.666
B  0.443  0.776  0.166
B  0.666  0.886  0.500
Nb  0.553  0.664  0.334
Ti  0.554  0.335  0.332
B  0.665  0.887  0.835
Hf  0.890  0.998  0.666
Ti  0.891  0.337  0.333
B  0.777  0.775  0.499
Nb  0.221  0.666  0.334
B  0.114  0.779  0.829
Zr  0.555  0.335  0.666
B  0.001  0.557  0.497
Nb  0.224  0.667  0.000
B  0.444  0.446  0.836
B  0.778  0.445  0.492
B  0.776  0.776  0.833
B  0.114  0.114  0.168
Ta  0.222  0.998  0.333
B  0.002  0.888  0.169
B  0.333  0.554  0.167
B  0.665  0.554  0.170
B  0.333  0.221  0.495
B  0.444  0.444  0.169
B  0.333  0.557  0.500
Ta  0.223  0.337  0.002
Ta  0.892  0.336  0.001
B  0.666  0.557  0.835
Ta  0.553  0.666  0.666
B  0.442  0.111  0.497
B  0.112  0.777  0.170
B  0.003  0.889  0.831



| no. | calculated volume (Å³/atom) | ΔH_f (0 K) (eV/atom) |
| --- | --- | --- |
| 1 | 9.56 | -0.879 |
| 2 | 9.63 | -0.881 |
| 3 | 9.70 | -0.880 |
| 4 | 9.60 | -0.912 |
| 5 | 9.55 | -0.853 |